[1]
Density functional theory data (PBE-GGA) for an optimized crystal structure of SrMg14CO16.

Size of the total moment (μB/cell): 0.00
Space-group type: Pmmm (47)

a = 8.652 Å, b = 8.599 Å, c = 4.374 Å
α = 90.00°, β = 90.00°, γ = 90.00°
Positions (direct):
Mg  0.000  0.738  0.500
Mg  0.500  0.252  0.500
Mg  0.500  0.000  0.000
Mg  0.500  0.748  0.500
Mg  0.247  0.500  0.500
Mg  0.500  0.500  0.000
Mg  0.000  0.262  0.500
Mg  0.746  0.743  0.000
Mg  0.254  0.743  0.000
Mg  0.259  0.000  0.500
Mg  0.741  0.000  0.500
Mg  0.753  0.500  0.500
Mg  0.254  0.257  0.000
Mg  0.746  0.257  0.000
O  0.500  0.500  0.500
O  0.500  0.745  0.000
O  0.000  0.728  0.000
O  0.000  0.000  0.500
O  0.729  0.000  0.000
O  0.500  0.000  0.500
O  0.256  0.500  0.000
O  0.249  0.250  0.500
O  0.744  0.500  0.000
O  0.751  0.750  0.500
O  0.000  0.272  0.000
O  0.500  0.255  0.000
O  0.249  0.750  0.500
O  0.751  0.250  0.500
O  0.000  0.500  0.500
O  0.271  0.000  0.000
Sr  0.000  0.000  0.000
C  0.000  0.500  0.000

[2]
Density functional theory data (PBE-GGA) for an optimized crystal structure of Lu2Al9Ir3.

Space-group type: Cmcm (63)

a = 7.523 Å, b = 7.523 Å, c = 9.411 Å
α = 90.00°, β = 90.00°, γ = 119.61°
Positions (direct):
Al  0.333  0.333  0.556
Al  0.335  0.001  0.426
Al  0.001  0.335  0.426
Al  0.665  0.999  0.574
Al  0.001  0.335  0.074
Al  0.453  0.663  0.750
Al  0.667  0.667  0.056
Al  0.999  0.665  0.574
Al  0.874  0.874  0.750
Al  0.337  0.547  0.250
Al  0.333  0.333  0.944
Al  0.663  0.453  0.750
Al  0.999  0.665  0.926
Al  0.667  0.667  0.444
Al  0.547  0.337  0.250
Al  0.126  0.126  0.250
Al  0.665  0.999  0.926
Al  0.335  0.001  0.074
Lu  0.004  0.331  0.750
Lu  0.331  0.004  0.750
Lu  0.669  0.996  0.250
Lu  0.996  0.669  0.250
Ir  0.000  0.000  0.500
Ir  0.328  0.672  0.000
Ir  0.328  0.672  0.500
Ir  0.672  0.328  0.500
Ir  0.672  0.328  0.000
Ir  0.000  0.000  0.000

[3]
Density functional theory data (PBE-GGA) for an optimized crystal structure of SmAgAs2.

Space-group type: P4/nmm (129)

a = 4.027 Å, b = 4.027 Å, c = 10.546 Å
α = 90.00°, β = 90.00°, γ = 90.00°
Positions (direct):
As  0.500  0.500  0.000
As  0.000  0.000  0.000
As  0.000  0.500  0.317
As  0.500  0.000  0.683
Ag  0.000  0.000  0.500
Ag  0.500  0.500  0.500
Sm  0.000  0.500  0.770
Sm  0.500  0.000  0.230

[4]
Density functional theory data (PBE-GGA) for an optimized crystal structure of Li2FeS2.

Size of the total moment (μB/cell): 0.01
ΔE to the lowest computed polymorph (meV/atom): 64
Space-group type: Ibam (72)

a = 6.342 Å, b = 6.342 Å, c = 6.342 Å
α = 132.78°, β = 124.90°, γ = 75.44°
Positions (direct):
Li  0.789  0.639  0.150
Li  0.489  0.139  0.350
Li  0.511  0.861  0.650
Li  0.211  0.361  0.850
S  0.658  0.384  0.275
S  0.109  0.884  0.225
S  0.891  0.116  0.775
S  0.342  0.616  0.725
Fe  0.000  0.750  0.750
Fe  0.000  0.250  0.250

[5]
Density functional theory data (PBE-GGA) for an optimized crystal structure of LaOsN3.

Size of the total moment (μB/cell): 0.00
Space-group type: P2_1/m (11)

a = 4.767 Å, b = 3.837 Å, c = 7.409 Å
α = 82.88°, β = 90.00°, γ = 90.00°
Positions (direct):
N  0.750  0.703  0.465
N  0.750  0.461  0.368
N  0.250  0.015  0.907
N  0.750  0.985  0.093
N  0.250  0.297  0.535
N  0.250  0.539  0.632
Os  0.250  0.516  0.906
Os  0.750  0.484  0.094
La  0.750  0.081  0.713
La  0.250  0.919  0.287

[6]
Density functional theory data (PBE-GGA) for an optimized crystal structure of Na4Al3Ge3ClO12.

Size of the total moment (μB/cell): 0.00
Space-group type: P-43n (218)
Maximum piezoelectric response (C/m²): 0.18

a = 9.141 Å, b = 9.141 Å, c = 9.141 Å
α = 90.00°, β = 90.00°, γ = 90.00°
Positions (direct):
O  0.356  0.643  0.074
O  0.357  0.926  0.356
O  0.857  0.856  0.426
O  0.357  0.074  0.644
O  0.356  0.357  0.926
O  0.643  0.074  0.356
O  0.143  0.856  0.574
O  0.426  0.143  0.144
O  0.074  0.644  0.357
O  0.857  0.144  0.574
O  0.644  0.357  0.074
O  0.574  0.857  0.144
O  0.856  0.574  0.143
O  0.926  0.644  0.643
O  0.643  0.926  0.644
O  0.143  0.144  0.426
O  0.426  0.857  0.856
O  0.856  0.426  0.857
O  0.574  0.143  0.856
O  0.144  0.426  0.143
O  0.644  0.643  0.926
O  0.926  0.356  0.357
O  0.144  0.574  0.857
O  0.074  0.356  0.643
Na  0.327  0.673  0.327
Na  0.827  0.827  0.173
Na  0.173  0.827  0.827
Na  0.673  0.327  0.327
Na  0.327  0.327  0.673
Na  0.827  0.173  0.827
Na  0.173  0.173  0.173
Na  0.673  0.673  0.673
Al  0.250  0.000  0.500
Al  0.500  0.250  0.000
Al  0.500  0.750  0.000
Al  0.000  0.500  0.250
Al  0.000  0.500  0.750
Al  0.750  0.000  0.500
Cl  0.000  0.000  0.000
Cl  0.500  0.500  0.500
Ge  0.500  0.000  0.750
Ge  0.000  0.750  0.500
Ge  0.000  0.250  0.500
Ge  0.250  0.500  0.000
Ge  0.500  0.000  0.250
Ge  0.750  0.500  0.000

Volume across the listed records, respectively: 10.171; 16.538; 21.377; 14.951; 13.446; 16.605 Å³ per atom.
ΔE_f across the listed records, respectively: -84.7; -11.8; -3.1; -5.1; -2.9; -59.7 eV per formula unit.